one:
! Li2MnF4 (PBE with a Hubbard U, optimized geometry); values from VASP
&SYSTEM
  ibrav = 0, nat = 56, ntyp = 3
/
ATOMIC_SPECIES
Li 6.94 Li.upf
F 19.00 F.upf
Mn 54.94 Mn.upf
ATOMIC_POSITIONS crystal
Li 0.9688 0.2968 0.8456
F 0.3014 0.3681 0.3773
Li 0.0000 0.0000 0.6884
Mn 0.0000 0.5000 0.6379
F 0.2619 0.1128 0.2364
Li 0.5000 0.0000 0.5552
Li 0.9932 0.7514 0.1917
Li 0.0000 0.0000 0.3276
Li 0.0068 0.2486 0.1917
F 0.2119 0.6047 0.2340
Mn 0.9911 0.7744 0.5011
Li 0.5068 0.2514 0.6917
Li 0.5000 0.5000 0.1884
F 0.2381 0.6128 0.7364
F 0.8066 0.3949 0.9623
Li 0.5000 0.5000 0.8276
F 0.7284 0.6280 0.1120
F 0.6934 0.8949 0.4623
F 0.8243 0.1618 0.3601
F 0.6757 0.6618 0.8601
F 0.8014 0.1319 0.8773
F 0.7573 0.1562 0.1063
Li 0.0000 0.5000 0.0552
Li 0.0000 0.0000 0.9682
F 0.7119 0.8953 0.7340
F 0.8064 0.4060 0.4945
F 0.2427 0.8438 0.1063
F 0.7716 0.1280 0.6120
Mn 0.5000 0.0000 0.8456
F 0.1936 0.5940 0.4945
F 0.6936 0.9060 0.9945
F 0.2284 0.8720 0.6120
F 0.6986 0.6319 0.3773
Li 0.4688 0.2032 0.3456
F 0.1986 0.8681 0.8773
Li 0.0312 0.7032 0.8456
F 0.1757 0.8382 0.3601
F 0.3064 0.0940 0.9945
F 0.3243 0.3382 0.8601
Li 0.5312 0.7968 0.3456
F 0.1934 0.6051 0.9623
Mn 0.4911 0.7256 0.0011
F 0.7427 0.6562 0.6063
Mn 0.0089 0.2256 0.5011
F 0.2573 0.3438 0.6063
Li 0.5000 0.5000 0.4682
F 0.7619 0.3872 0.7364
F 0.7381 0.8872 0.2364
F 0.2716 0.3720 0.1120
F 0.3066 0.1051 0.4623
Mn 0.0000 0.5000 0.3456
Mn 0.5000 0.0000 0.1379
F 0.7881 0.3953 0.2340
Mn 0.5089 0.2744 0.0011
Li 0.4932 0.7486 0.6917
F 0.2881 0.1047 0.7340
CELL_PARAMETERS angstrom
-4.2423 -0.1798 2.8521
-4.2970 -6.3489 -6.7918
4.6598 -9.9006 6.3069
! SG: Pnn2



two:
! Li2MnF4 (PBE with a Hubbard U, optimized geometry); values from VASP
&SYSTEM
  ibrav = 0, nat = 14, ntyp = 3
/
ATOMIC_SPECIES
F 19.00 F.upf
Li 6.94 Li.upf
Mn 54.94 Mn.upf
ATOMIC_POSITIONS crystal
F 0.1580 0.2238 0.8742
Li 0.0344 0.8776 0.3470
Li 0.5344 0.6224 0.6530
F 0.8518 0.7796 0.6511
F 0.1482 0.2204 0.3489
F 0.6482 0.2796 0.6511
Mn 0.5000 0.0000 0.0000
F 0.8420 0.7762 0.1258
Li 0.9656 0.1224 0.6530
Li 0.4656 0.3776 0.3470
F 0.3518 0.7204 0.3489
F 0.6580 0.2762 0.1258
F 0.3420 0.7238 0.8742
Mn 0.0000 0.5000 0.0000
CELL_PARAMETERS angstrom
5.3858 0.0000 0.0000
0.0000 5.5195 0.0000
0.0000 2.5495 5.4009
! SG: P2_1/c



Decreasing stability: two, one



one:
! LiVF4 (PBE with a Hubbard U, optimized geometry); values from VASP
&SYSTEM
  ibrav = 0, nat = 24, ntyp = 3
/
ATOMIC_SPECIES
F 19.00 F.upf
V 50.94 V.upf
Li 6.94 Li.upf
ATOMIC_POSITIONS crystal
F 0.7542 0.9863 0.1504
V 0.0000 0.0000 0.0000
F 0.1883 0.2500 0.0908
F 0.6883 0.7500 0.4092
F 0.2458 0.0137 0.8496
F 0.7184 0.2500 0.4215
V 0.0000 0.5000 0.0000
F 0.7816 0.2500 0.9215
F 0.7542 0.5137 0.1504
F 0.8117 0.7500 0.9092
F 0.2542 0.4863 0.3496
Li 0.5267 0.7500 0.2161
F 0.3117 0.2500 0.5908
F 0.2542 0.0137 0.3496
F 0.2816 0.7500 0.5785
F 0.7458 0.5137 0.6504
F 0.2184 0.7500 0.0785
Li 0.9733 0.7500 0.7161
F 0.2458 0.4863 0.8496
F 0.7458 0.9863 0.6504
Li 0.4733 0.2500 0.7839
V 0.5000 0.5000 0.5000
Li 0.0267 0.2500 0.2839
V 0.5000 0.0000 0.5000
CELL_PARAMETERS angstrom
-2.0535 -4.2849 -0.0782
5.6633 -2.7160 0.1084
-0.2259 -0.0735 9.9655
! SG: Pnma



two:
! LiVF4 (PBE with a Hubbard U, optimized geometry); values from VASP
&SYSTEM
  ibrav = 0, nat = 12, ntyp = 3
/
ATOMIC_SPECIES
F 19.00 F.upf
V 50.94 V.upf
Li 6.94 Li.upf
ATOMIC_POSITIONS crystal
F 0.6300 0.1128 0.9355
F 0.4445 0.8800 0.0172
F 0.8872 0.8227 0.5172
V 0.2500 0.7500 0.5000
F 0.8628 0.4273 0.9828
F 0.5727 0.5555 0.4355
V 0.5000 0.5000 0.0000
F 0.1773 0.6945 0.0645
Li 0.7500 0.2500 0.5000
Li 0.0000 0.0000 0.0000
F 0.3055 0.3700 0.4828
F 0.1200 0.1372 0.5645
CELL_PARAMETERS angstrom
2.2875 -5.2967 1.9735
2.8313 0.8514 5.3330
-5.5620 1.5593 -1.9533
! SG: I4_1/a



Decreasing stability: one, two